{
  "formula": "ZrSiRu",
  "functional": "meta-GGA r2SCAN",
  "state": "relaxed",
  "cell": [[6.6868, 0.0000, 0.0000], [-3.3434, 5.7909, 0.0000], [0.0000, 0.0000, 3.6912]],
  "species": ["Zr", "Zr", "Zr", "Si", "Si", "Si", "Ru", "Ru", "Ru"],
  "frac_coords": [[0.0000, 0.5849, 0.0000], [0.4151, 0.4151, 0.0000], [0.5849, 0.0000, 0.0000], [0.0000, 0.0000, 0.0000], [0.3333, 0.6667, 0.5000], [0.6667, 0.3333, 0.5000], [0.0000, 0.2443, 0.5000], [0.2443, 0.0000, 0.5000], [0.7557, 0.7557, 0.5000]],
  "ef_mev_per_atom": -992,
  "magnetic_moment_mub_per_fu": 0.00
}